1.
{
  "formula": "CaAg4P4O12",
  "functional": "PBE",
  "state": "optimized geometry",
  "spacegroup": "P1",
  "lattice": [[-5.554, 7.612, -10.378], [-0.761, -3.589, -2.227], [-4.416, -0.997, 3.673]],
  "species": ["Ca", "Ag", "Ag", "Ag", "Ag", "P", "P", "P", "P", "O", "O", "O", "O", "O", "O", "O", "O", "O", "O", "O", "O"],
  "frac_coords": [[0.165, 0.886, 0.697], [0.965, 0.293, 0.599], [0.474, 0.695, 0.755], [0.611, 0.476, 0.294], [0.966, 0.777, 0.320], [0.228, 0.317, 0.242], [0.359, 0.835, 0.152], [0.650, 0.155, 0.845], [0.784, 0.638, 0.776], [0.150, 0.144, 0.054], [0.209, 0.437, 0.474], [0.264, 0.592, 0.103], [0.326, 0.104, 0.321], [0.347, 0.947, 0.903], [0.451, 0.698, 0.293], [0.565, 0.291, 0.662], [0.626, 0.020, 0.059], [0.695, 0.892, 0.701], [0.738, 0.408, 0.940], [0.785, 0.468, 0.545], [0.875, 0.788, 0.933]]
}

=====

2.
{
  "formula": "CaSi2Ag8O8",
  "functional": "PBE",
  "state": "optimized geometry",
  "spacegroup": "P2",
  "de_polymorph_ev_per_fu": 0.000,
  "lattice": [[6.263, 0.000, 0.000], [0.000, 7.480, 0.183], [0.000, 0.142, 6.934]],
  "species": ["Ca", "Si", "Si", "Ag", "Ag", "Ag", "Ag", "Ag", "Ag", "Ag", "Ag", "O", "O", "O", "O", "O", "O", "O", "O"],
  "frac_coords": [[0.601, 0.250, 0.750], [0.625, 0.250, 0.250], [0.368, 0.750, 0.750], [0.066, 0.039, 0.444], [0.666, 0.637, 0.064], [0.666, 0.863, 0.436], [0.901, 0.572, 0.418], [0.901, 0.928, 0.082], [0.346, 0.579, 0.375], [0.066, 0.461, 0.056], [0.346, 0.921, 0.125], [0.512, 0.563, 0.743], [0.777, 0.279, 0.446], [0.205, 0.734, 0.941], [0.455, 0.404, 0.166], [0.777, 0.221, 0.054], [0.512, 0.937, 0.757], [0.205, 0.766, 0.559], [0.455, 0.096, 0.334]]
}

=====

3.
{
  "formula": "CaSi2Ag8O8",
  "functional": "PBE",
  "state": "optimized geometry",
  "spacegroup": "P-4",
  "de_polymorph_ev_per_fu": 1.194,
  "lattice": [[5.713, 0.000, 0.000], [0.000, 7.562, 0.000], [0.000, 0.000, 7.562]],
  "species": ["Ca", "Si", "Si", "Ag", "Ag", "Ag", "Ag", "Ag", "Ag", "Ag", "Ag", "O", "O", "O", "O", "O", "O", "O", "O"],
  "frac_coords": [[0.750, 0.750, 0.750], [0.750, 0.250, 0.250], [0.250, 0.750, 0.750], [0.266, 0.119, 0.494], [0.888, 0.609, 0.128], [0.888, 0.891, 0.372], [0.612, 0.372, 0.609], [0.612, 0.128, 0.891], [0.234, 0.494, 0.381], [0.266, 0.381, 0.006], [0.234, 0.006, 0.119], [0.428, 0.581, 0.791], [0.912, 0.276, 0.433], [0.072, 0.791, 0.919], [0.588, 0.433, 0.224], [0.912, 0.224, 0.067], [0.428, 0.919, 0.709], [0.072, 0.709, 0.581], [0.588, 0.067, 0.276]]
}

=====

4.
{
  "formula": "Ca3Si4Ag2O14",
  "functional": "PBE",
  "state": "optimized geometry",
  "spacegroup": "C2/c",
  "lattice": [[3.932, 8.689, 0.000], [-3.932, 8.689, 0.000], [0.000, 5.510, 8.832]],
  "species": ["Ca", "Ca", "Ca", "Ca", "Ca", "Ca", "Si", "Si", "Si", "Si", "Si", "Si", "Si", "Si", "Ag", "Ag", "Ag", "Ag", "O", "O", "O", "O", "O", "O", "O", "O", "O", "O", "O", "O", "O", "O", "O", "O", "O", "O", "O", "O", "O", "O", "O", "O", "O", "O", "O", "O"],
  "frac_coords": [[0.240, 0.152, 0.537], [0.848, 0.760, 0.963], [0.152, 0.240, 0.037], [0.659, 0.341, 0.250], [0.760, 0.848, 0.463], [0.341, 0.659, 0.750], [0.092, 0.536, 0.671], [0.536, 0.092, 0.171], [0.230, 0.515, 0.140], [0.515, 0.230, 0.640], [0.464, 0.908, 0.829], [0.770, 0.485, 0.860], [0.485, 0.770, 0.360], [0.908, 0.464, 0.329], [0.227, 0.773, 0.250], [0.773, 0.227, 0.750], [0.000, 0.000, 0.000], [0.000, 0.000, 0.500], [0.328, 0.856, 0.506], [0.898, 0.970, 0.722], [0.632, 0.474, 0.819], [0.970, 0.898, 0.222], [0.979, 0.260, 0.459], [0.511, 0.063, 0.801], [0.474, 0.632, 0.319], [0.740, 0.021, 0.041], [0.489, 0.937, 0.199], [0.698, 0.645, 0.399], [0.102, 0.030, 0.278], [0.021, 0.740, 0.541], [0.937, 0.489, 0.699], [0.856, 0.328, 0.006], [0.645, 0.698, 0.899], [0.260, 0.979, 0.959], [0.471, 0.903, 0.673], [0.302, 0.355, 0.601], [0.097, 0.529, 0.827], [0.355, 0.302, 0.101], [0.063, 0.511, 0.301], [0.030, 0.102, 0.778], [0.903, 0.471, 0.173], [0.368, 0.526, 0.181], [0.529, 0.097, 0.327], [0.526, 0.368, 0.681], [0.144, 0.672, 0.994], [0.672, 0.144, 0.494]]
}

=====

5.
{
  "formula": "Ca3Si3Ag2O12",
  "functional": "PBE",
  "state": "optimized geometry",
  "spacegroup": "Ia-3d",
  "lattice": [[-6.246, 6.246, 6.246], [6.246, -6.246, 6.246], [6.246, 6.246, -6.246]],
  "species": ["Ca", "Ca", "Ca", "Ca", "Ca", "Ca", "Ca", "Ca", "Ca", "Ca", "Ca", "Ca", "Si", "Si", "Si", "Si", "Si", "Si", "Si", "Si", "Si", "Si", "Si", "Si", "Ag", "Ag", "Ag", "Ag", "Ag", "Ag", "Ag", "Ag", "O", "O", "O", "O", "O", "O", "O", "O", "O", "O", "O", "O", "O", "O", "O", "O", "O", "O", "O", "O", "O", "O", "O", "O", "O", "O", "O", "O", "O", "O", "O", "O", "O", "O", "O", "O", "O", "O", "O", "O", "O", "O", "O", "O", "O", "O", "O", "O"],
  "frac_coords": [[0.250, 0.375, 0.125], [0.750, 0.125, 0.375], [0.375, 0.125, 0.250], [0.125, 0.375, 0.750], [0.250, 0.875, 0.625], [0.125, 0.250, 0.375], [0.625, 0.250, 0.875], [0.750, 0.625, 0.875], [0.875, 0.750, 0.625], [0.875, 0.625, 0.250], [0.625, 0.875, 0.750], [0.375, 0.750, 0.125], [0.125, 0.750, 0.875], [0.875, 0.250, 0.125], [0.750, 0.375, 0.625], [0.125, 0.875, 0.250], [0.250, 0.125, 0.875], [0.375, 0.625, 0.750], [0.375, 0.250, 0.625], [0.875, 0.125, 0.750], [0.625, 0.375, 0.250], [0.750, 0.875, 0.125], [0.250, 0.625, 0.375], [0.625, 0.750, 0.375], [0.500, 0.000, 0.000], [0.500, 0.500, 0.000], [0.000, 0.500, 0.500], [0.000, 0.000, 0.500], [0.500, 0.500, 0.500], [0.000, 0.500, 0.000], [0.500, 0.000, 0.500], [0.000, 0.000, 0.000], [0.596, 0.892, 0.377], [0.377, 0.596, 0.892], [0.281, 0.296, 0.904], [0.485, 0.608, 0.204], [0.296, 0.892, 0.015], [0.123, 0.015, 0.219], [0.377, 0.281, 0.485], [0.892, 0.377, 0.596], [0.204, 0.219, 0.596], [0.485, 0.377, 0.281], [0.892, 0.015, 0.296], [0.608, 0.904, 0.123], [0.904, 0.123, 0.608], [0.281, 0.485, 0.377], [0.596, 0.204, 0.219], [0.219, 0.596, 0.204], [0.015, 0.296, 0.892], [0.904, 0.281, 0.296], [0.015, 0.219, 0.123], [0.796, 0.781, 0.404], [0.204, 0.485, 0.608], [0.608, 0.204, 0.485], [0.219, 0.123, 0.015], [0.123, 0.608, 0.904], [0.404, 0.108, 0.623], [0.623, 0.404, 0.108], [0.719, 0.704, 0.096], [0.515, 0.392, 0.796], [0.704, 0.108, 0.985], [0.877, 0.985, 0.781], [0.623, 0.719, 0.515], [0.108, 0.623, 0.404], [0.877, 0.392, 0.096], [0.781, 0.877, 0.985], [0.392, 0.796, 0.515], [0.704, 0.096, 0.719], [0.796, 0.515, 0.392], [0.985, 0.781, 0.877], [0.096, 0.719, 0.704], [0.985, 0.704, 0.108], [0.781, 0.404, 0.796], [0.404, 0.796, 0.781], [0.719, 0.515, 0.623], [0.096, 0.877, 0.392], [0.392, 0.096, 0.877], [0.108, 0.985, 0.704], [0.515, 0.623, 0.719], [0.296, 0.904, 0.281]]
}

=====

6.
{
  "formula": "CaY4Ag4O12",
  "functional": "PBE",
  "state": "optimized geometry",
  "spacegroup": "Pm",
  "lattice": [[-1.447, 3.585, 4.944], [-6.189, 2.332, -3.053], [-3.454, -5.382, 2.892]],
  "species": ["Ca", "Y", "Y", "Y", "Y", "Ag", "Ag", "Ag", "Ag", "O", "O", "O", "O", "O", "O", "O", "O", "O", "O", "O", "O"],
  "frac_coords": [[0.058, 0.796, 0.250], [0.923, 0.945, 0.750], [0.495, 0.527, 0.250], [0.579, 0.445, 0.750], [0.917, 0.186, 0.250], [0.043, 0.487, 0.536], [0.471, 0.986, 0.493], [0.471, 0.986, 0.007], [0.043, 0.487, 0.964], [0.740, 0.375, 0.455], [0.147, 0.032, 0.499], [0.791, 0.947, 0.051], [0.355, 0.577, 0.960], [0.355, 0.577, 0.540], [0.791, 0.947, 0.449], [0.147, 0.032, 0.001], [0.740, 0.375, 0.045], [0.149, 0.427, 0.250], [0.565, 0.112, 0.750], [0.421, 0.838, 0.250], [0.856, 0.646, 0.750]]
}

=====

Number 1: E_form -46.537 kcal/mol of atoms, size of the total moment 0.0 Bohr magnetons per cell. Number 2: E_form -31.879 kcal/mol of atoms, size of the total moment 0.0 Bohr magnetons per cell. Number 3: E_form -30.430 kcal/mol of atoms, size of the total moment 0.0 Bohr magnetons per cell. Number 4: E_form -62.241 kcal/mol of atoms, size of the total moment 0.0 Bohr magnetons per cell. Number 5: E_form -59.429 kcal/mol of atoms, size of the total moment 16.0 Bohr magnetons per cell. Number 6: E_form -51.139 kcal/mol of atoms, size of the total moment 0.0 Bohr magnetons per cell.